Entry 1:
# Na3FeO4

A relaxed Na3FeO4 crystal (PBE with a Hubbard U, the Materials Project database).

Lattice parameters (Å, degrees): 7.4855 5.9863 5.4559 90.00 90.00 90.00
Last column: nearest neighbours and their distance in Å.
Sites, in units of the cell vectors:
Na (0.0000, 0.1556, 0.0000)  4 O 2.30-2.38
Na (0.2437, 0.3175, 0.5066)  4 O 2.26-2.35
Na (0.2563, 0.6825, 0.0066)  4 O 2.26-2.35
Na (0.5000, 0.8444, 0.5000)  4 O 2.30-2.38
Na (0.7437, 0.6825, 0.0066)  4 O 2.26-2.35
Na (0.7563, 0.3175, 0.5066)  4 O 2.26-2.35
Fe (0.0000, 0.8132, 0.5181)  4 O 1.72-1.77
Fe (0.5000, 0.1868, 0.0181)  4 O 1.72-1.77
O (0.0000, 0.0912, 0.4290)  1 Fe 1.73
O (0.0000, 0.8033, 0.8335)  1 Fe 1.72
O (0.2083, 0.6985, 0.4314)  1 Fe 1.77
O (0.2917, 0.3015, 0.9314)  1 Fe 1.77
O (0.5000, 0.1967, 0.3335)  1 Fe 1.72
O (0.5000, 0.9088, 0.9290)  1 Fe 1.73
O (0.7083, 0.3015, 0.9314)  1 Fe 1.77
O (0.7917, 0.6985, 0.4314)  1 Fe 1.77

Calculated values
Size of the total moment (μB per formula unit): 3.0
Total DFT energy (no corrections) (eV/cell): -78.8
ρ (g cm⁻³): 2.56

Entry 2:
# Na7Fe2O8

A relaxed Na7Fe2O8 crystal (PBE with a Hubbard U, the Materials Project database).

Lattice parameters (Å, degrees): 5.8840 9.1475 18.0797 89.76 89.12 89.46
Last column: nearest neighbours and their distance in Å.
Sites, in units of the cell vectors:
Na (0.0644, 0.4637, 0.3627)  4 O 2.29-2.51
Na (0.0685, 0.0368, 0.8620)  4 O 2.28-2.53
Na (0.1044, 0.6599, 0.1853)  4 O 2.44-2.61
Na (0.1124, 0.8366, 0.6868)  4 O 2.38-2.57
Na (0.2322, 0.0540, 0.5418)  4 O 2.31-2.48
Na (0.2318, 0.4463, 0.0415)  4 O 2.31-2.48
Na (0.2778, 0.6952, 0.8641)  5 O 2.44-2.59
Na (0.2798, 0.8065, 0.3646)  5 O 2.42-2.70
Na (0.3302, 0.1024, 0.0405)  4 O 2.36-2.50
Na (0.3332, 0.3981, 0.5405)  4 O 2.33-2.48
Na (0.3782, 0.9965, 0.2196)  4 O 2.27-2.51
Na (0.3788, 0.5041, 0.7202)  4 O 2.28-2.48
Na (0.4074, 0.1660, 0.3895)  5 O 2.30-2.55
Na (0.4066, 0.3362, 0.8895)  4 O 2.26-2.46
Na (0.5934, 0.6638, 0.1105)  4 O 2.26-2.46
Na (0.5926, 0.8340, 0.6105)  5 O 2.30-2.55
Na (0.6212, 0.4959, 0.2798)  4 O 2.28-2.48
Na (0.6218, 0.0035, 0.7804)  4 O 2.27-2.51
Na (0.6668, 0.6019, 0.4595)  4 O 2.33-2.48
Na (0.6698, 0.8976, 0.9595)  4 O 2.36-2.50
Na (0.7202, 0.1935, 0.6354)  5 O 2.42-2.70
Na (0.7222, 0.3048, 0.1359)  5 O 2.44-2.59
Na (0.7682, 0.5537, 0.9585)  4 O 2.31-2.48
Na (0.7678, 0.9460, 0.4582)  4 O 2.31-2.48
Na (0.8876, 0.1634, 0.3132)  4 O 2.38-2.57
Na (0.8956, 0.3401, 0.8147)  4 O 2.44-2.61
Na (0.9315, 0.9632, 0.1380)  4 O 2.28-2.53
Na (0.9356, 0.5363, 0.6373)  4 O 2.29-2.51
Fe (0.2063, 0.7185, 0.5224)  4 O 1.78-1.81
Fe (0.2066, 0.7825, 0.0227)  4 O 1.79-1.81
Fe (0.2148, 0.1693, 0.7029)  4 O 1.77-1.80
Fe (0.2181, 0.3279, 0.2028)  4 O 1.75-1.79
Fe (0.7819, 0.6721, 0.7972)  4 O 1.75-1.79
Fe (0.7852, 0.8307, 0.2971)  4 O 1.77-1.80
Fe (0.7934, 0.2175, 0.9773)  4 O 1.79-1.81
Fe (0.7937, 0.2815, 0.4776)  4 O 1.78-1.81
O (0.0431, 0.1832, 0.4450)  1 Fe 1.81
O (0.0426, 0.3166, 0.9460)  1 Fe 1.81
O (0.0444, 0.5918, 0.7677)  1 Fe 1.78
O (0.0467, 0.9172, 0.2704)  1 Fe 1.80
O (0.1232, 0.1894, 0.1443)  1 Fe 1.75
O (0.1340, 0.3157, 0.6446)  1 Fe 1.77
O (0.2581, 0.5851, 0.4519)  1 Fe 1.79
O (0.2618, 0.9172, 0.9529)  1 Fe 1.79
O (0.2889, 0.8643, 0.1077)  1 Fe 1.79
O (0.2927, 0.6345, 0.6063)  1 Fe 1.78
O (0.3765, 0.2537, 0.7722)  1 Fe 1.77
O (0.3883, 0.0226, 0.6674)  1 Fe 1.79
O (0.3937, 0.4706, 0.1664)  1 Fe 1.79
O (0.3975, 0.2513, 0.2698)  1 Fe 1.76
O (0.4074, 0.8519, 0.4893)  1 Fe 1.80
O (0.4079, 0.6474, 0.9897)  1 Fe 1.80
O (0.5921, 0.3525, 0.0103)  1 Fe 1.80
O (0.5926, 0.1481, 0.5107)  1 Fe 1.80
O (0.6025, 0.7487, 0.7302)  1 Fe 1.76
O (0.6063, 0.5294, 0.8336)  1 Fe 1.79
O (0.6117, 0.9774, 0.3326)  1 Fe 1.79
O (0.6235, 0.7463, 0.2278)  1 Fe 1.77
O (0.7073, 0.3655, 0.3937)  1 Fe 1.78
O (0.7111, 0.1357, 0.8923)  1 Fe 1.79
O (0.7382, 0.0828, 0.0471)  1 Fe 1.79
O (0.7419, 0.4149, 0.5481)  1 Fe 1.79
O (0.8660, 0.6843, 0.3554)  1 Fe 1.77
O (0.8768, 0.8106, 0.8557)  1 Fe 1.75
O (0.9533, 0.0828, 0.7296)  1 Fe 1.80
O (0.9556, 0.4082, 0.2323)  1 Fe 1.78
O (0.9574, 0.6834, 0.0540)  1 Fe 1.81
O (0.9569, 0.8168, 0.5550)  1 Fe 1.81

Calculated values
Size of the total moment (μB per formula unit): 7.0
Total DFT energy (no corrections) (eV/cell): -328.4
Excess energy over the best structure of this formula in the dataset (eV per atom): 0.000
ρ (g cm⁻³): 2.73

Entry 3:
# Na3FeO3

A relaxed Na3FeO3 crystal (PBE with a Hubbard U, the Materials Project database).

Lattice parameters (Å, degrees): 5.8155 12.7601 6.2852 90.00 122.08 90.00
Last column: nearest neighbours and their distance in Å.
Sites, in units of the cell vectors:
Na (0.0384, 0.0153, 0.2807)  4 O 2.32-2.38
Na (0.0384, 0.4847, 0.7807)  4 O 2.32-2.38
Na (0.0527, 0.2226, 0.6959)  5 O 2.33-2.59
Na (0.0527, 0.2774, 0.1959)  5 O 2.33-2.59
Na (0.4328, 0.0965, 0.1438)  4 O 2.37-2.55
Na (0.4328, 0.4035, 0.6438)  4 O 2.37-2.55
Na (0.5672, 0.5965, 0.3562)  4 O 2.37-2.55
Na (0.5672, 0.9035, 0.8562)  4 O 2.37-2.55
Na (0.9473, 0.7226, 0.8041)  5 O 2.33-2.59
Na (0.9473, 0.7774, 0.3041)  5 O 2.33-2.59
Na (0.9616, 0.5153, 0.2193)  4 O 2.32-2.38
Na (0.9616, 0.9847, 0.7193)  4 O 2.32-2.38
Fe (0.4185, 0.6639, 0.7419)  4 O 1.87-1.97
Fe (0.4185, 0.8361, 0.2419)  4 O 1.87-1.97
Fe (0.5815, 0.1639, 0.7581)  4 O 1.87-1.97
Fe (0.5815, 0.3361, 0.2581)  4 O 1.87-1.97
O (0.0523, 0.6266, 0.5480)  1 Fe 1.87
O (0.0523, 0.8734, 0.0480)  1 Fe 1.87
O (0.3209, 0.0624, 0.6987)  1 Fe 1.87
O (0.3209, 0.4376, 0.1987)  1 Fe 1.87
O (0.4726, 0.7282, 0.0477)  2 Fe 1.96-1.97
O (0.4726, 0.7718, 0.5477)  2 Fe 1.96-1.97
O (0.5274, 0.2282, 0.4523)  2 Fe 1.96-1.97
O (0.5274, 0.2718, 0.9523)  2 Fe 1.96-1.97
O (0.6791, 0.5624, 0.8013)  1 Fe 1.87
O (0.6791, 0.9376, 0.3013)  1 Fe 1.87
O (0.9477, 0.1266, 0.9520)  1 Fe 1.87
O (0.9477, 0.3734, 0.4520)  1 Fe 1.87

Calculated values
Total DFT energy (no corrections) (eV/cell): -139.3
Excess energy over the best structure of this formula in the dataset (eV per atom): 0.012
ρ (g cm⁻³): 2.90

Entry 4:
# NaFe8O12

A relaxed NaFe8O12 crystal (PBE with a Hubbard U, the Materials Project database).

Lattice parameters (Å, degrees): 6.0819 6.0819 14.8004 90.49 90.49 59.82
Last column: nearest neighbours and their distance in Å.
Sites, in units of the cell vectors:
Na (0.0000, 0.0000, 0.0000)  6 O 2.24-2.25
Na (0.5000, 0.5000, 0.5000)  6 O 2.21-2.25
Fe (0.0000, 0.5000, 0.5000)  6 O 2.04-2.08
Fe (0.0086, 0.0086, 0.6203)  4 O 1.88-2.04
Fe (0.1676, 0.1676, 0.1679)  6 O 2.04-2.11
Fe (0.1695, 0.6676, 0.1692)  6 O 2.05-2.11
Fe (0.3295, 0.3295, 0.3354)  6 O 2.03-2.18
Fe (0.3299, 0.3299, 0.7071)  4 O 1.88-1.98
Fe (0.3324, 0.3324, 0.9520)  4 O 1.91-2.03
Fe (0.3324, 0.8305, 0.8308)  6 O 2.05-2.11
Fe (0.5000, 0.0000, 0.5000)  6 O 2.04-2.08
Fe (0.6676, 0.1695, 0.1692)  6 O 2.05-2.11
Fe (0.6676, 0.6676, 0.0480)  4 O 1.91-2.03
Fe (0.6701, 0.6701, 0.2929)  4 O 1.88-1.98
Fe (0.6705, 0.6705, 0.6646)  6 O 2.03-2.18
Fe (0.8305, 0.3324, 0.8308)  6 O 2.05-2.11
Fe (0.8324, 0.8324, 0.8321)  6 O 2.04-2.11
Fe (0.9914, 0.9914, 0.3797)  4 O 1.88-2.04
O (0.0016, 0.0016, 0.2425)  4 Fe 2.04-2.08
O (0.0212, 0.4901, 0.2457)  4 Fe 1.98-2.09
O (0.1496, 0.6479, 0.4133)  3 Fe 1.88-2.04
O (0.1637, 0.1637, 0.9035)  3 Fe 1.91-2.05
O (0.1647, 0.6696, 0.9039)  3 Fe 1.91-2.05
O (0.1672, 0.1672, 0.4237)  4 Fe 1.96-2.16
O (0.3239, 0.3239, 0.5801)  3 Fe 1.88-2.07
O (0.3304, 0.8353, 0.0961)  3 Fe 1.91-2.05
O (0.3340, 0.3340, 0.0895)  4 Fe 2.03-2.11
O (0.3521, 0.8504, 0.5867)  3 Fe 1.88-2.04
O (0.4901, 0.0212, 0.2457)  4 Fe 1.98-2.09
O (0.4935, 0.4935, 0.2464)  4 Fe 1.98-2.18
O (0.5065, 0.5065, 0.7536)  4 Fe 1.98-2.18
O (0.5099, 0.9788, 0.7543)  4 Fe 1.98-2.09
O (0.6479, 0.1496, 0.4133)  3 Fe 1.88-2.04
O (0.6660, 0.6660, 0.9105)  4 Fe 2.03-2.11
O (0.6696, 0.1647, 0.9039)  3 Fe 1.91-2.05
O (0.6761, 0.6761, 0.4199)  3 Fe 1.88-2.07
O (0.8328, 0.8328, 0.5763)  4 Fe 1.96-2.16
O (0.8353, 0.3304, 0.0961)  3 Fe 1.91-2.05
O (0.8363, 0.8363, 0.0965)  3 Fe 1.91-2.05
O (0.8504, 0.3521, 0.5867)  3 Fe 1.88-2.04
O (0.9788, 0.5099, 0.7543)  4 Fe 1.98-2.09
O (0.9984, 0.9984, 0.7575)  4 Fe 2.04-2.08

Calculated values
Size of the total moment (μB per formula unit): 39.0
Total DFT energy (no corrections) (eV/cell): -271.6
ρ (g cm⁻³): 4.64

Entry 5:
# Na3FeO3

A relaxed Na3FeO3 crystal (PBE with a Hubbard U, the Materials Project database).

Lattice parameters (Å, degrees): 5.9006 5.9399 12.4815 89.20 89.51 64.43
Last column: nearest neighbours and their distance in Å.
Sites, in units of the cell vectors:
Na (0.0000, 0.0000, 0.0000)  4 O 2.26-2.50
Na (0.0197, 0.8842, 0.2388)  4 O 2.34-2.36
Na (0.0793, 0.8977, 0.7381)  4 O 2.33-2.37
Na (0.1042, 0.7837, 0.5032)  4 O 2.30-2.51
Na (0.1536, 0.3461, 0.3205)  4 O 2.34-2.61
Na (0.4425, 0.9336, 0.1212)  5 O 2.39-2.60
Na (0.4967, 0.5022, 0.9441)  4 O 2.29-2.53
Na (0.5224, 0.3858, 0.7066)  4 O 2.29-2.40
Na (0.5816, 0.4008, 0.2050)  4 O 2.28-2.44
Na (0.6038, 0.2847, 0.4464)  3 O 2.24-2.48
Na (0.6614, 0.8516, 0.6250)  4 O 2.38-2.54
Na (0.9496, 0.4348, 0.8209)  5 O 2.40-2.68
Fe (0.0342, 0.3202, 0.5648)  3 O 1.91-2.14
Fe (0.0608, 0.4658, 0.0634)  4 O 1.88-2.04
Fe (0.5422, 0.8213, 0.3866)  4 O 1.80-1.81
Fe (0.5612, 0.9686, 0.8814)  4 O 1.86-2.04
O (0.1095, 0.5316, 0.6581)  1 Fe 1.91
O (0.2503, 0.6428, 0.0944)  1 Fe 1.88
O (0.2719, 0.2133, 0.9516)  2 Fe 1.91-2.04
O (0.3526, 0.0475, 0.4832)  1 Fe 1.80
O (0.3640, 0.6523, 0.3512)  1 Fe 1.80
O (0.4957, 0.7577, 0.7911)  1 Fe 1.86
O (0.5986, 0.0201, 0.2892)  1 Fe 1.81
O (0.7504, 0.1461, 0.8548)  1 Fe 1.86
O (0.7693, 0.7162, 0.9957)  2 Fe 1.91-2.04
O (0.8333, 0.5843, 0.4389)  1 Fe 1.81
O (0.8419, 0.1360, 0.5930)  1 Fe 1.91
O (0.9949, 0.2512, 0.1578)  1 Fe 1.88

Calculated values
Size of the total moment (μB per formula unit): 5.0
Total DFT energy (no corrections) (eV/cell): -137.9
Excess energy over the best structure of this formula in the dataset (eV per atom): 0.061
ρ (g cm⁻³): 2.91